1.
# MgMo2P2O9 PBE with a Hubbard U relaxed
data_MgMo2P2O9
_symmetry_space_group_name_H-M 'P n m a'
_symmetry_Int_Tables_number 62
_cell_length_a 14.915
_cell_length_b 6.656
_cell_length_c 7.228
_cell_angle_alpha 90.00
_cell_angle_beta 90.00
_cell_angle_gamma 90.00
loop_
_symmetry_equiv_pos_as_xyz
'x,y,z'
'-x,-y,-z'
'-x+1/2,-y,z+1/2'
'x+1/2,y,-z+1/2'
'x+1/2,-y+1/2,-z+1/2'
'-x+1/2,y+1/2,z+1/2'
'-x,y+1/2,-z'
'x,-y+1/2,z'
loop_
_atom_site_label
_atom_site_fract_x
_atom_site_fract_y
_atom_site_fract_z
Mg1 0.229 0.250 0.072
Mo1 0.000 0.000 0.000
Mo2 0.124 0.250 0.629
P1 0.079 0.750 0.622
P2 0.192 0.750 0.102
O1 0.010 0.750 0.470
O2 0.029 0.750 0.814
O3 0.065 0.250 0.886
O4 0.137 0.551 0.104
O5 0.145 0.571 0.612
O6 0.241 0.250 0.436
O7 0.248 0.250 0.782
# density: 3.907 g cm⁻³
# E_form: -2.4826 eV/atom
# crystal system: orthorhombic


2.
# Li9Mn2Co5O16 PBE with a Hubbard U relaxed
data_Li9Mn2Co5O16
_symmetry_space_group_name_H-M 'C 1 2/m 1'
_symmetry_Int_Tables_number 12
_cell_length_a 10.303
_cell_length_b 5.796
_cell_length_c 10.288
_cell_angle_alpha 90.00
_cell_angle_beta 110.77
_cell_angle_gamma 90.00
loop_
_symmetry_equiv_pos_as_xyz
'x,y,z'
'-x,-y,-z'
'-x,y,-z'
'x,-y,z'
'x+1/2,y+1/2,z'
'-x+1/2,-y+1/2,-z'
'-x+1/2,y+1/2,-z'
'x+1/2,-y+1/2,z'
loop_
_atom_site_label
_atom_site_fract_x
_atom_site_fract_y
_atom_site_fract_z
Li1 0.000 0.000 0.000
Li2 0.001 0.244 0.770
Li3 0.242 0.000 0.237
Li4 0.243 0.500 0.236
Mn1 0.250 0.250 0.500
Co1 0.000 0.000 0.500
Co2 0.000 0.500 0.000
Co3 0.000 0.500 0.500
Co4 0.250 0.250 0.000
O1 0.117 0.500 0.885
O2 0.119 0.267 0.111
O3 0.126 0.266 0.606
O4 0.137 0.000 0.882
O5 0.139 0.000 0.386
O6 0.144 0.500 0.385
# density: 4.180 g cm⁻³
# E_form: -1.7825 eV/atom
# crystal system: monoclinic


3.
# Li9Mn7P12O48 PBE with a Hubbard U relaxed
data_Li9Mn7P12O48
_symmetry_space_group_name_H-M 'P 1'
_symmetry_Int_Tables_number 1
_cell_length_a 8.562
_cell_length_b 8.723
_cell_length_c 12.003
_cell_angle_alpha 90.42
_cell_angle_beta 90.07
_cell_angle_gamma 90.12
loop_
_symmetry_equiv_pos_as_xyz
'x,y,z'
loop_
_atom_site_label
_atom_site_fract_x
_atom_site_fract_y
_atom_site_fract_z
Li1 0.000 0.000 0.000
Li2 0.000 0.061 0.373
Li3 0.033 0.822 0.806
Li4 0.062 0.521 0.872
Li5 0.068 0.567 0.515
Li6 0.496 0.004 0.871
Li7 0.498 0.062 0.508
Li8 0.566 0.560 0.374
Li9 0.568 0.503 0.010
Mn1 0.029 0.246 0.579
Mn2 0.035 0.321 0.076
Mn3 0.036 0.748 0.306
Mn4 0.532 0.817 0.077
Mn5 0.533 0.247 0.305
Mn6 0.535 0.319 0.802
Mn7 0.538 0.748 0.579
P1 0.176 0.181 0.840
P2 0.181 0.890 0.546
P3 0.248 0.034 0.189
P4 0.317 0.536 0.191
P5 0.388 0.390 0.546
P6 0.391 0.671 0.838
P7 0.678 0.887 0.339
P8 0.679 0.176 0.045
P9 0.748 0.032 0.692
P10 0.817 0.531 0.692
P11 0.888 0.677 0.052
P12 0.890 0.390 0.337
O1 0.106 0.310 0.918
O2 0.108 0.773 0.460
O3 0.128 0.228 0.721
O4 0.128 0.842 0.658
O5 0.129 0.023 0.873
O6 0.130 0.056 0.512
O7 0.136 0.945 0.269
O8 0.137 0.123 0.109
O9 0.207 0.388 0.535
O10 0.217 0.671 0.850
O11 0.223 0.645 0.267
O12 0.224 0.425 0.116
O13 0.341 0.141 0.266
O14 0.342 0.926 0.114
O15 0.359 0.188 0.848
O16 0.361 0.887 0.529
O17 0.424 0.623 0.106
O18 0.425 0.453 0.272
O19 0.436 0.345 0.664
O20 0.440 0.554 0.514
O21 0.440 0.723 0.720
O22 0.458 0.511 0.868
O23 0.461 0.271 0.465
O24 0.472 0.793 0.917
O25 0.606 0.294 0.964
O26 0.608 0.765 0.418
O27 0.626 0.844 0.220
O28 0.627 0.011 0.012
O29 0.628 0.048 0.373
O30 0.629 0.222 0.161
O31 0.633 0.125 0.770
O32 0.634 0.948 0.608
O33 0.705 0.673 0.042
O34 0.710 0.388 0.347
O35 0.722 0.634 0.613
O36 0.723 0.417 0.763
O37 0.836 0.143 0.613
O38 0.838 0.930 0.765
O39 0.860 0.886 0.349
O40 0.861 0.179 0.033
O41 0.922 0.618 0.771
O42 0.925 0.443 0.607
O43 0.931 0.707 0.174
O44 0.937 0.510 0.017
O45 0.940 0.344 0.220
O46 0.945 0.553 0.372
O47 0.959 0.792 0.975
O48 0.962 0.269 0.417
# density: 2.939 g cm⁻³
# E_form: -2.4345 eV/atom
# crystal system: triclinic


4.
# Li4MnF6 PBE with a Hubbard U relaxed
data_Li4MnF6
_symmetry_space_group_name_H-M 'P -3 m 1'
_symmetry_Int_Tables_number 164
_symmetry_space_group_name_Hall '-P 3 2"'
_cell_length_a 8.8361
_cell_length_b 8.8361
_cell_length_c 4.9486
_cell_angle_alpha 90.00
_cell_angle_beta 90.00
_cell_angle_gamma 120.00
loop_
_atom_site_label
_atom_site_fract_x
_atom_site_fract_y
_atom_site_fract_z
Li1 0.0000 0.3143 0.0000
Li2 0.0000 0.3506 0.5000
Mn1 0.0000 0.0000 0.5000
Mn2 0.3333 0.6667 0.9919
F1 0.0946 0.5473 0.7593
F2 0.1195 0.2390 0.7289
F3 0.2133 0.4266 0.2248
# density: 2.928 g cm⁻³
# E_form: -3.0748 eV/atom
# crystal system: trigonal


5.
# Co3SbO8 PBE with a Hubbard U relaxed
data_Co3SbO8
_symmetry_space_group_name_H-M 'P 1'
_symmetry_Int_Tables_number 1
_cell_length_a 5.734
_cell_length_b 5.751
_cell_length_c 9.194
_cell_angle_alpha 90.76
_cell_angle_beta 90.55
_cell_angle_gamma 119.25
loop_
_symmetry_equiv_pos_as_xyz
'x,y,z'
loop_
_atom_site_label
_atom_site_fract_x
_atom_site_fract_y
_atom_site_fract_z
Co1 0.000 0.000 0.000
Co2 0.000 0.495 0.000
Co3 0.344 0.676 0.498
Co4 0.349 0.180 0.504
Co5 0.504 0.000 0.999
Co6 0.839 0.680 0.500
Sb1 0.498 0.487 0.784
Sb2 0.843 0.169 0.274
O1 0.006 0.507 0.391
O2 0.018 0.005 0.387
O3 0.138 0.320 0.119
O4 0.173 0.832 0.097
O5 0.200 0.858 0.594
O6 0.202 0.338 0.629
O7 0.326 0.142 0.890
O8 0.326 0.668 0.891
O9 0.481 0.486 0.399
O10 0.506 0.006 0.385
O11 0.643 0.335 0.626
O12 0.648 0.791 0.632
O13 0.687 0.320 0.117
O14 0.687 0.867 0.118
O15 0.830 0.165 0.900
O16 0.852 0.668 0.887
# density: 5.356 g cm⁻³
# E_form: -1.2668 eV/atom
# crystal system: triclinic


6.
# LiFeO3 PBE with a Hubbard U relaxed
data_LiFeO3
_symmetry_space_group_name_H-M 'P m -3 m'
_symmetry_Int_Tables_number 221
_symmetry_space_group_name_Hall '-P 4 2 3'
_cell_length_a 3.777
_cell_length_b 3.777
_cell_length_c 3.777
_cell_angle_alpha 90.00
_cell_angle_beta 90.00
_cell_angle_gamma 90.00
loop_
_atom_site_label
_atom_site_fract_x
_atom_site_fract_y
_atom_site_fract_z
Li1 0.000 0.000 0.000
Fe1 0.500 0.500 0.500
O1 0.000 0.500 0.500
# density: 3.414 g cm⁻³
# E_form: -1.2500 eV/atom
# crystal system: cubic


7.
# Li10Fe2Co3Ni3O16 PBE with a Hubbard U relaxed
data_Li10Fe2Co3Ni3O16
_symmetry_space_group_name_H-M 'P 1'
_symmetry_Int_Tables_number 1
_cell_length_a 5.832
_cell_length_b 5.912
_cell_length_c 9.580
_cell_angle_alpha 90.84
_cell_angle_beta 90.37
_cell_angle_gamma 119.24
loop_
_symmetry_equiv_pos_as_xyz
'x,y,z'
loop_
_atom_site_label
_atom_site_fract_x
_atom_site_fract_y
_atom_site_fract_z
Li1 0.000 0.000 0.000
Li2 0.005 0.986 0.497
Li3 0.180 0.798 0.077
Li4 0.202 0.401 0.065
Li5 0.339 0.662 0.291
Li6 0.406 0.210 0.568
Li7 0.619 0.798 0.075
Li8 0.673 0.341 0.794
Li9 0.807 0.616 0.572
Li10 0.817 0.191 0.576
Fe1 0.330 0.655 0.548
Fe2 0.654 0.305 0.053
Co1 0.168 0.829 0.804
Co2 0.662 0.828 0.805
Co3 0.829 0.646 0.305
Ni1 0.169 0.333 0.803
Ni2 0.334 0.157 0.304
Ni3 0.833 0.156 0.305
O1 0.020 0.517 0.685
O2 0.155 0.805 0.423
O3 0.170 0.320 0.435
O4 0.330 0.154 0.925
O5 0.342 0.681 0.915
O6 0.484 0.971 0.685
O7 0.500 0.518 0.686
O8 0.504 0.003 0.180
O9 0.515 0.488 0.180
O10 0.668 0.808 0.426
O11 0.676 0.338 0.418
O12 0.824 0.155 0.924
O13 0.840 0.676 0.917
O14 0.977 0.485 0.179
O15 0.985 0.962 0.195
O16 0.986 0.977 0.697
# density: 4.552 g cm⁻³
# E_form: -1.6571 eV/atom
# crystal system: triclinic


8.
# Li47Co8O32 PBE with a Hubbard U relaxed
data_Li47Co8O32
_symmetry_space_group_name_H-M 'P 1'
_symmetry_Int_Tables_number 1
_cell_length_a 9.275
_cell_length_b 9.397
_cell_length_c 9.410
_cell_angle_alpha 89.89
_cell_angle_beta 89.97
_cell_angle_gamma 89.94
loop_
_symmetry_equiv_pos_as_xyz
'x,y,z'
loop_
_atom_site_label
_atom_site_fract_x
_atom_site_fract_y
_atom_site_fract_z
Li1 0.000 0.000 0.000
Li2 0.000 0.206 0.499
Li3 0.011 0.465 0.982
Li4 0.012 0.744 0.482
Li5 0.019 0.460 0.735
Li6 0.019 0.987 0.270
Li7 0.021 0.220 0.770
Li8 0.021 0.748 0.235
Li9 0.235 0.721 0.972
Li10 0.245 0.248 0.508
Li11 0.245 0.488 0.469
Li12 0.247 0.960 0.003
Li13 0.251 0.243 0.262
Li14 0.252 0.964 0.759
Li15 0.264 0.501 0.738
Li16 0.265 0.703 0.243
Li17 0.267 0.727 0.514
Li18 0.280 0.479 0.016
Li19 0.289 0.974 0.245
Li20 0.291 0.234 0.747
Li21 0.475 0.738 0.741
Li22 0.479 0.470 0.229
Li23 0.497 0.007 0.741
Li24 0.497 0.205 0.243
Li25 0.499 0.227 0.516
Li26 0.500 0.986 0.011
Li27 0.513 0.747 0.263
Li28 0.514 0.463 0.775
Li29 0.519 0.748 0.505
Li30 0.520 0.248 0.983
Li31 0.520 0.988 0.473
Li32 0.745 0.249 0.234
Li33 0.745 0.716 0.770
Li34 0.746 0.957 0.737
Li35 0.748 0.489 0.271
Li36 0.749 0.494 0.996
Li37 0.753 0.963 0.984
Li38 0.754 0.245 0.480
Li39 0.765 0.706 0.501
Li40 0.766 0.478 0.726
Li41 0.770 0.733 0.232
Li42 0.790 0.974 0.497
Li43 0.791 0.233 0.993
Li44 0.969 0.733 0.996
Li45 0.975 0.474 0.495
Li46 0.998 0.226 0.226
Li47 0.998 0.980 0.727
Co1 0.024 0.722 0.742
Co2 0.025 0.485 0.241
Co3 0.239 0.222 0.001
Co4 0.240 0.985 0.499
Co5 0.517 0.706 0.999
Co6 0.523 0.485 0.499
Co7 0.740 0.988 0.243
Co8 0.743 0.220 0.739
O1 0.113 0.859 0.876
O2 0.114 0.348 0.377
O3 0.124 0.597 0.606
O4 0.124 0.612 0.108
O5 0.141 0.092 0.135
O6 0.141 0.111 0.634
O7 0.152 0.848 0.364
O8 0.153 0.361 0.864
O9 0.368 0.091 0.884
O10 0.370 0.115 0.387
O11 0.376 0.330 0.120
O12 0.380 0.371 0.615
O13 0.383 0.831 0.108
O14 0.386 0.872 0.612
O15 0.391 0.609 0.883
O16 0.396 0.617 0.383
O17 0.611 0.849 0.874
O18 0.615 0.351 0.363
O19 0.622 0.612 0.635
O20 0.626 0.616 0.133
O21 0.641 0.093 0.607
O22 0.641 0.113 0.108
O23 0.651 0.850 0.378
O24 0.660 0.356 0.870
O25 0.870 0.087 0.856
O26 0.870 0.116 0.357
O27 0.877 0.373 0.129
O28 0.879 0.836 0.629
O29 0.886 0.872 0.130
O30 0.888 0.336 0.626
O31 0.894 0.591 0.856
O32 0.895 0.617 0.356
# density: 2.652 g cm⁻³
# E_form: -1.9177 eV/atom
# crystal system: triclinic


9.
# Li2TiFeO4 PBE with a Hubbard U relaxed
data_Li2TiFeO4
_symmetry_space_group_name_H-M 'P 1'
_symmetry_Int_Tables_number 1
_cell_length_a 5.810
_cell_length_b 7.880
_cell_length_c 7.881
_cell_angle_alpha 69.74
_cell_angle_beta 68.51
_cell_angle_gamma 68.50
loop_
_symmetry_equiv_pos_as_xyz
'x,y,z'
loop_
_atom_site_label
_atom_site_fract_x
_atom_site_fract_y
_atom_site_fract_z
Li1 0.000 0.000 0.000
Li2 0.121 0.376 0.877
Li3 0.250 0.252 0.250
Li4 0.374 0.625 0.126
Li5 0.497 0.502 0.499
Li6 0.624 0.874 0.375
Li7 0.746 0.750 0.750
Li8 0.875 0.125 0.625
Ti1 0.123 0.877 0.375
Ti2 0.372 0.127 0.625
Ti3 0.623 0.376 0.874
Ti4 0.873 0.626 0.125
Fe1 0.245 0.751 0.750
Fe2 0.500 0.005 0.997
Fe3 0.752 0.247 0.253
Fe4 0.996 0.499 0.503
O1 0.120 0.658 0.590
O2 0.135 0.089 0.155
O3 0.246 0.501 0.000
O4 0.247 0.000 0.500
O5 0.373 0.340 0.412
O6 0.374 0.909 0.837
O7 0.499 0.750 0.251
O8 0.500 0.250 0.751
O9 0.618 0.593 0.662
O10 0.627 0.164 0.095
O11 0.750 0.501 0.000
O12 0.751 0.001 0.499
O13 0.868 0.844 0.909
O14 0.873 0.409 0.343
O15 0.997 0.251 0.751
O16 0.998 0.751 0.249
# density: 3.982 g cm⁻³
# E_form: -2.5529 eV/atom
# crystal system: triclinic